# 1
CaSnS3: optimized geometry, PBE-GGA.

abc: 7.340 7.340 7.340
angles: 54.81 54.81 54.81
Sites, in units of the cell vectors:
Ca 0.140 0.140 0.140
Ca 0.860 0.860 0.860
Sn 0.344 0.344 0.344
Sn 0.656 0.656 0.656
S 0.059 0.466 0.714
S 0.286 0.941 0.534
S 0.466 0.714 0.059
S 0.534 0.286 0.941
S 0.714 0.059 0.466
S 0.941 0.534 0.286

Properties
- Formation energy from the elements: -127.0 kJ per mole of atoms
- Symmetry: R-3
- Energy above the lowest structure with this stoichiometry: 5 meV per atom
- V: 245.9 Å³ per cell

# 2
CaSnS3: optimized geometry, PBE-GGA.

abc: 8.307 3.843 13.791
angles: 90.00 90.00 90.00
Sites, in units of the cell vectors:
Ca 0.062 0.250 0.181
Ca 0.438 0.750 0.681
Ca 0.562 0.250 0.319
Ca 0.938 0.750 0.819
Sn 0.179 0.750 0.444
Sn 0.321 0.250 0.944
Sn 0.679 0.750 0.056
Sn 0.821 0.250 0.556
S 0.018 0.750 0.609
S 0.143 0.750 0.010
S 0.198 0.250 0.781
S 0.302 0.750 0.281
S 0.357 0.250 0.510
S 0.482 0.250 0.109
S 0.518 0.750 0.891
S 0.643 0.750 0.490
S 0.698 0.250 0.719
S 0.802 0.750 0.219
S 0.857 0.250 0.990
S 0.982 0.250 0.391

Properties
- Formation energy from the elements: -126.8 kJ per mole of atoms
- Symmetry: Pnma
- Energy above the lowest structure with this stoichiometry: 7 meV per atom
- V: 440.3 Å³ per cell

# 3
CaSnS3: optimized geometry, PBE-GGA.

abc: 6.711 6.711 6.351
angles: 90.00 90.00 120.00
Sites, in units of the cell vectors:
Ca 0.333 0.667 0.250
Ca 0.667 0.333 0.750
Sn 0.000 0.000 0.000
Sn 0.000 0.000 0.500
S 0.172 0.344 0.750
S 0.172 0.828 0.750
S 0.344 0.172 0.250
S 0.656 0.828 0.750
S 0.828 0.172 0.250
S 0.828 0.656 0.250

Properties
- Formation energy from the elements: -96.4 kJ per mole of atoms
- Symmetry: P6_3/mmc
- Energy above the lowest structure with this stoichiometry: 323 meV per atom
- V: 247.7 Å³ per cell

# 4
CaSnS3: optimized geometry, PBE-GGA.

abc: 6.964 6.964 15.346
angles: 93.05 93.05 58.02
Sites, in units of the cell vectors:
Ca 0.000 0.000 0.000
Ca 0.263 0.263 0.619
Ca 0.337 0.337 0.136
Ca 0.663 0.663 0.864
Ca 0.737 0.737 0.381
Sn 0.000 0.000 0.500
Sn 0.040 0.040 0.291
Sn 0.311 0.311 0.886
Sn 0.689 0.689 0.114
Sn 0.960 0.960 0.709
S 0.000 0.500 0.000
S 0.057 0.573 0.769
S 0.087 0.087 0.843
S 0.188 0.188 0.434
S 0.188 0.688 0.378
S 0.312 0.812 0.622
S 0.427 0.943 0.231
S 0.500 0.000 0.000
S 0.500 0.500 0.000
S 0.573 0.057 0.769
S 0.688 0.188 0.378
S 0.812 0.312 0.622
S 0.812 0.812 0.566
S 0.913 0.913 0.157
S 0.943 0.427 0.231

Properties
- Formation energy from the elements: -109.3 kJ per mole of atoms
- Symmetry: C2/m
- Energy above the lowest structure with this stoichiometry: 188 meV per atom
- V: 630.2 Å³ per cell

Which formula does entry 2 have? CaSnS3

Number 3 is which compound? CaSnS3

Please write out number 1 again, unchanged.
CaSnS3: optimized geometry, PBE-GGA.

abc: 7.340 7.340 7.340
angles: 54.81 54.81 54.81
Sites, in units of the cell vectors:
Ca 0.140 0.140 0.140
Ca 0.860 0.860 0.860
Sn 0.344 0.344 0.344
Sn 0.656 0.656 0.656
S 0.059 0.466 0.714
S 0.286 0.941 0.534
S 0.466 0.714 0.059
S 0.534 0.286 0.941
S 0.714 0.059 0.466
S 0.941 0.534 0.286

Properties
- Formation energy from the elements: -127.0 kJ per mole of atoms
- Symmetry: R-3
- Energy above the lowest structure with this stoichiometry: 5 meV per atom
- V: 245.9 Å³ per cell

Which value of formation energy from the elements does entry 1 give? -127.0 kJ per mole of atoms